(1)
ThZnAu2: relaxed, meta-GGA r2SCAN.

The value obtained for the electronic total energy is -46.461 eV/atom. As for the size of the total moment: 0.0 μB/f.u. As for the density: 13.42 g/cm3. The crystal system is cubic.

It has space group Fm-3m (No. 225), with a = 6.9945 Å, b = 6.9945 Å, c = 6.9945 Å, α = 90.00°, β = 90.00° and γ = 90.00°. The distinct sites, in fractional coordinates, are Th at (0.0000, 0.0000, 0.0000), Zn at (0.0000, 0.0000, 0.5000) and Au at (0.2500, 0.2500, 0.2500).


(2)
Tl2Au: relaxed, meta-GGA r2SCAN.

The value obtained for the electronic total energy is -52.343 eV/atom. As for the size of the total moment: 0.0 μB/f.u. As for the density: 12.57 g/cm3. The crystal system is tetragonal.

It has space group I4/mcm (No. 140), with a = 7.6828 Å, b = 7.6828 Å, c = 5.4236 Å, α = 90.00°, β = 90.00° and γ = 90.00°. The distinct sites, in fractional coordinates, are Tl at (0.1508, 0.3492, 0.0000) and Au at (0.0000, 0.0000, 0.0000).


(3)
Tl2Au: relaxed, meta-GGA r2SCAN.

The value obtained for the electronic total energy is -52.360 eV/atom. As for the size of the total moment: 0.0 μB/f.u. As for the density: 13.09 g/cm3. The crystal system is tetragonal.

It has space group I4/mcm (No. 140), with a = 7.3499 Å, b = 7.3499 Å, c = 5.6907 Å, α = 90.00°, β = 90.00° and γ = 90.00°. The distinct sites, in fractional coordinates, are Tl at (0.1547, 0.3453, 0.0000) and Au at (0.0000, 0.0000, 0.2500).


(4)
TmAu3: relaxed, meta-GGA r2SCAN.

The value obtained for the electronic total energy is -47.513 eV/atom. As for the size of the total moment: 0.0 μB/f.u. As for the density: 16.43 g/cm3. The crystal system is orthorhombic.

It has space group Pmmn (No. 59, origin choice 2), with a = 4.9582 Å, b = 6.0783 Å, c = 5.0971 Å, α = 90.00°, β = 90.00° and γ = 90.00°. The distinct sites, in fractional coordinates, are Tm at (0.2500, 0.2500, 0.1543), Au at (0.2500, 0.5051, 0.6612) and Au at (0.2500, 0.7500, 0.1644).


Which formula does entry 4 have? TmAu3


Copy entry 2 word for word.
Tl2Au: relaxed, meta-GGA r2SCAN.

The value obtained for the electronic total energy is -52.343 eV/atom. As for the size of the total moment: 0.0 μB/f.u. As for the density: 12.57 g/cm3. The crystal system is tetragonal.

It has space group I4/mcm (No. 140), with a = 7.6828 Å, b = 7.6828 Å, c = 5.4236 Å, α = 90.00°, β = 90.00° and γ = 90.00°. The distinct sites, in fractional coordinates, are Tl at (0.1508, 0.3492, 0.0000) and Au at (0.0000, 0.0000, 0.0000).